(1)
VASP calculation (PBE) on Bi5P3O15 after structural relaxation.

Cell: 10.191 12.002 12.214 Å, 111.02 93.04 107.84°
Space group P-1 (No. 2)
Symmetry-distinct sites (fractional):
Bi  0.007  0.019  0.362 (multiplicity 2)
Bi  0.096  0.512  0.194 (multiplicity 2)
Bi  0.146  0.325  0.652 (multiplicity 2)
Bi  0.189  0.012  0.008 (multiplicity 2)
Bi  0.223  0.805  0.486 (multiplicity 2)
Bi  0.325  0.316  0.307 (multiplicity 2)
Bi  0.330  0.830  0.169 (multiplicity 2)
Bi  0.340  0.353  0.030 (multiplicity 2)
Bi  0.437  0.847  0.849 (multiplicity 2)
Bi  0.479  0.653  0.327 (multiplicity 2)
P  0.003  0.758  0.104 (multiplicity 2)
P  0.027  0.765  0.741 (multiplicity 2)
P  0.306  0.566  0.925 (multiplicity 2)
P  0.327  0.575  0.564 (multiplicity 2)
P  0.337  0.091  0.770 (multiplicity 2)
P  0.361  0.100  0.407 (multiplicity 2)
O  0.016  0.881  0.454 (multiplicity 2)
O  0.032  0.380  0.295 (multiplicity 2)
O  0.047  0.644  0.358 (multiplicity 2)
O  0.057  0.798  0.630 (multiplicity 2)
O  0.085  0.174  0.210 (multiplicity 2)
O  0.085  0.232  0.796 (multiplicity 2)
O  0.089  0.669  0.097 (multiplicity 2)
O  0.094  0.285  0.017 (multiplicity 2)
O  0.120  0.891  0.133 (multiplicity 2)
O  0.163  0.829  0.839 (multiplicity 2)
O  0.172  0.507  0.828 (multiplicity 2)
O  0.223  0.440  0.534 (multiplicity 2)
O  0.240  0.048  0.650 (multiplicity 2)
O  0.247  0.157  0.456 (multiplicity 2)
O  0.250  0.103  0.872 (multiplicity 2)
O  0.258  0.676  0.575 (multiplicity 2)
O  0.279  0.538  0.039 (multiplicity 2)
O  0.293  0.695  0.299 (multiplicity 2)
O  0.306  0.952  0.366 (multiplicity 2)
O  0.315  0.451  0.215 (multiplicity 2)
O  0.353  0.215  0.120 (multiplicity 2)
O  0.362  0.715  0.966 (multiplicity 2)
O  0.377  0.972  0.036 (multiplicity 2)
O  0.390  0.129  0.294 (multiplicity 2)
O  0.415  0.563  0.460 (multiplicity 2)
O  0.420  0.510  0.875 (multiplicity 2)
O  0.421  0.001  0.765 (multiplicity 2)
O  0.429  0.622  0.685 (multiplicity 2)
O  0.454  0.224  0.800 (multiplicity 2)
O  0.494  0.161  0.506 (multiplicity 2)

=====

(2)
VASP calculation (PBE) on BiP2O7 after structural relaxation.

Cell: 7.759 9.585 9.825 Å, 90.00 113.23 90.00°
Space group P2_1/c (No. 14)
Symmetry-distinct sites (fractional):
Bi  0.181  0.067  0.317 (multiplicity 4)
P  0.039  0.718  0.968 (multiplicity 4)
P  0.416  0.739  0.232 (multiplicity 4)
O  0.008  0.097  0.642 (multiplicity 4)
O  0.028  0.636  0.395 (multiplicity 4)
O  0.077  0.222  0.437 (multiplicity 4)
O  0.257  0.697  0.071 (multiplicity 4)
O  0.376  0.614  0.773 (multiplicity 4)
O  0.401  0.228  0.289 (multiplicity 4)
O  0.407  0.637  0.349 (multiplicity 4)

## Properties
As for the energy relative to the lowest polymorph listed for this composition: 0.082 eV/atom.

=====

no.,DFT total energy (eV/atom),MP2020-corrected energy (eV/atom),energy of formation from the pure elements (meV per atom)
1,-6.583,-7.031,-2252.8
2,-6.677,-7.158,-2222.3